(1)
DFT (PBE+U) results for crystalline Li4Cr3GaO8 at its relaxed geometry.

Properties
Polymorph energy (0 for the lowest one)   0.9 kJ/mol of formula units
E_tot   -211.7 eV for the cell shown

Lattice parameters (Å, degrees): 5.1607 9.8431 5.9095 90.00 90.00 100.37
Fractional coordinates of all 32 atoms:
Li: 0.4999 0.5000 0.0000
Li: 0.9999 0.0000 0.5000
Li: 0.0001 0.0000 0.0000
Li: 0.5001 0.5000 0.5000
Li: 0.2500 0.2500 0.2503
Li: 0.7500 0.7500 0.7503
Li: 0.2500 0.2500 0.7501
Li: 0.7500 0.7500 0.2501
Cr: 0.2500 0.7500 0.5009
Cr: 0.9992 0.4992 0.2486
Cr: 0.5008 0.0008 0.2486
Cr: 0.7500 0.2500 0.0010
Cr: 0.4992 0.9992 0.7486
Cr: 0.0008 0.5008 0.7486
Ga: 0.7500 0.2500 0.5008
Ga: 0.2500 0.7500 0.0008
O: 0.3956 0.1217 0.4998
O: 0.8956 0.6217 0.9998
O: 0.1044 0.3783 0.4998
O: 0.6044 0.8783 0.9998
O: 0.3946 0.1213 0.9987
O: 0.8945 0.6212 0.4987
O: 0.1055 0.3787 0.9987
O: 0.6054 0.8787 0.4987
O: 0.8536 0.1290 0.7502
O: 0.3536 0.6290 0.2502
O: 0.8563 0.1294 0.2516
O: 0.3563 0.6294 0.7516
O: 0.6436 0.3706 0.2516
O: 0.1437 0.8706 0.7516
O: 0.6464 0.3710 0.7502
O: 0.1464 0.8710 0.2502

=====

(2)
DFT (PBE+U) results for crystalline Li4Cr3GaO8 at its relaxed geometry.

Properties
Polymorph energy (0 for the lowest one)   0.8 kJ/mol of formula units
E_tot   -211.7 eV for the cell shown

Lattice parameters (Å, degrees): 6.6562 6.6562 10.2623 120.98 120.98 52.71
Fractional coordinates of all 32 atoms:
Li: 0.0000 0.5000 0.0000
Li: 0.0000 0.5000 0.5000
Li: 0.2500 0.2500 0.2501
Li: 0.2500 0.2500 0.7501
Li: 0.5000 0.0000 0.0000
Li: 0.5000 0.0000 0.5000
Li: 0.7500 0.7500 0.2499
Li: 0.7500 0.7500 0.7499
Cr: 0.0013 0.9987 0.7500
Cr: 0.2501 0.7500 0.5008
Cr: 0.2500 0.7499 0.9992
Cr: 0.7500 0.2501 0.0008
Cr: 0.7499 0.2500 0.4992
Cr: 0.9987 0.0013 0.2500
Ga: 0.4993 0.5007 0.2500
Ga: 0.5007 0.4993 0.7500
O: 0.1121 0.1139 0.9920
O: 0.1139 0.1121 0.4920
O: 0.1377 0.6382 0.2589
O: 0.1385 0.6350 0.7573
O: 0.3618 0.8623 0.2411
O: 0.3650 0.8615 0.7427
O: 0.3868 0.3873 0.0088
O: 0.3873 0.3868 0.5088
O: 0.6127 0.6132 0.4912
O: 0.6132 0.6127 0.9912
O: 0.6350 0.1385 0.2573
O: 0.6382 0.1377 0.7589
O: 0.8615 0.3650 0.2427
O: 0.8623 0.3618 0.7411
O: 0.8861 0.8879 0.5080
O: 0.8879 0.8861 0.0080

=====

(3)
DFT (PBE+U) results for crystalline Li4Cr3GaO8 at its relaxed geometry.

Properties
Polymorph energy (0 for the lowest one)   0.1 kJ/mol of formula units
E_tot   -211.7 eV for the cell shown

Lattice parameters (Å, degrees): 5.1158 5.1635 11.8418 90.00 90.00 70.70
Fractional coordinates of all 32 atoms:
Li: 0.0000 0.0000 0.5000
Li: 0.0000 0.0000 0.0000
Li: 0.0000 0.0000 0.2500
Li: 0.0000 0.0000 0.7500
Li: 0.5000 0.0000 0.1250
Li: 0.5000 0.0000 0.6250
Li: 0.5000 0.0000 0.3750
Li: 0.5000 0.0000 0.8750
Cr: 0.5000 0.5000 0.2500
Cr: 0.0000 0.5000 0.6247
Cr: 0.0000 0.5000 0.8753
Cr: 0.5000 0.5000 0.7500
Cr: 0.0000 0.5001 0.1247
Cr: 0.0000 0.5000 0.3753
Ga: 0.5000 0.5000 0.5000
Ga: 0.5000 0.5000 0.0000
O: 0.2440 0.2736 0.0000
O: 0.2440 0.2736 0.5000
O: 0.7560 0.7264 0.5000
O: 0.7559 0.7264 0.0000
O: 0.2409 0.2736 0.2500
O: 0.2409 0.2736 0.7500
O: 0.7591 0.7264 0.2500
O: 0.7591 0.7264 0.7500
O: 0.2587 0.7264 0.1244
O: 0.2587 0.7264 0.6244
O: 0.7413 0.2736 0.1244
O: 0.7413 0.2736 0.6244
O: 0.2587 0.7264 0.3756
O: 0.2587 0.7264 0.8756
O: 0.7413 0.2736 0.3756
O: 0.7413 0.2736 0.8756